Here is a relaxed structure of Sr2MnNbO6 from the Materials Project. Energies are from GGA+U.

abc: 8.1231 8.1181 9.7544
angles: 65.41 65.40 90.01
Last column: nearest neighbours and their distance in Å.
Sites, in units of the cell vectors:
Nb1 0.5000 0.5000 0.0001  6 O 2.01-2.03
Nb2 0.0000 0.0000 0.0001  6 O 2.01-2.03
Nb3 0.7500 0.2500 0.5000  6 O 2.01-2.02
Nb4 0.2500 0.7500 0.5000  6 O 2.01-2.03
O1 0.0397 0.7561 0.0001  1 Nb 2.01, 1 Mn 2.10
O2 0.1215 0.6216 0.7568  1 Mn 1.92, 1 Nb 2.03
O3 0.3714 0.3716 0.2568  1 Mn 1.92, 1 Nb 2.02
O4 0.7564 0.9604 0.9998  1 Nb 2.01, 1 Mn 2.11
O5 0.2437 0.0397 0.0000  1 Nb 2.01, 1 Mn 2.11
O6 0.7437 0.5397 0.9999  1 Nb 2.01, 1 Mn 2.11
O7 0.7104 0.4939 0.4998  1 Nb 2.01, 1 Mn 2.10
O8 0.6285 0.6284 0.7432  1 Mn 1.92, 1 Nb 2.03
O9 0.4602 0.7438 0.0001  1 Nb 2.01, 1 Mn 2.10
O10 0.2898 0.5062 0.4999  1 Nb 2.01, 1 Mn 2.10
O11 0.0062 0.7103 0.5000  1 Nb 2.01, 1 Mn 2.11
O12 0.8715 0.8715 0.2568  1 Mn 1.92, 1 Nb 2.02
O13 0.5396 0.2560 0.0002  1 Nb 2.01, 1 Mn 2.10
O14 0.1285 0.1285 0.7432  1 Mn 1.92, 1 Nb 2.03
O15 0.3785 0.8785 0.2432  1 Mn 1.92, 1 Nb 2.03
O16 0.2564 0.4604 0.9997  1 Nb 2.01, 1 Mn 2.11
O17 0.9936 0.2896 0.5002  1 Nb 2.01, 1 Mn 2.11
O18 0.2104 0.9940 0.4999  1 Nb 2.01, 1 Mn 2.10
O19 0.9602 0.2438 0.0001  1 Nb 2.01, 1 Mn 2.10
O20 0.6215 0.1216 0.7567  1 Mn 1.92, 1 Nb 2.02
O21 0.4936 0.7896 0.5002  1 Nb 2.01, 1 Mn 2.11
O22 0.7898 0.0062 0.4999  1 Nb 2.01, 1 Mn 2.11
O23 0.8785 0.3784 0.2433  1 Mn 1.92, 1 Nb 2.02
O24 0.5063 0.2103 0.5000  1 Nb 2.01, 1 Mn 2.11
Sr1 0.3750 0.8750 0.7501  8 O 2.61-2.87
Sr2 0.8749 0.3750 0.7501  8 O 2.61-2.87
Sr3 0.3751 0.3750 0.7499  8 O 2.61-2.87
Sr4 0.6251 0.6251 0.2499  8 O 2.61-2.87
Sr5 0.6249 0.1249 0.2501  8 O 2.61-2.87
Sr6 0.1251 0.1251 0.2499  8 O 2.61-2.87
Sr7 0.8751 0.8750 0.7499  8 O 2.61-2.87
Sr8 0.1249 0.6249 0.2501  8 O 2.61-2.87
Mn1 0.7500 0.7498 0.5001  6 O 1.92-2.11
Mn2 0.2499 0.2501 0.5001  6 O 1.92-2.11
Mn3 0.5000 0.0000 0.9999  6 O 1.92-2.11
Mn4 0.0001 0.5000 0.0001  6 O 1.92-2.11

## Properties
For the raw total energy, the calculation gives -305.7 eV for the cell shown. The energy relative to the elements is -2989 meV/atom. Its spin magnetization is 0.00 μB/cell. For the corrected total energy (MP2020 scheme), the calculation gives -8.222 eV/atom.